Entry 1:
# r²SCAN Lu2GeO5, relaxed
# **E_form**: -3.2622 eV/atom
data_Lu2GeO5
_chemical_formula_sum 'Lu8 Ge4 O20'
_cell_length_a 8.030
_cell_length_b 8.030
_cell_length_c 10.182
_cell_angle_alpha 61.39
_cell_angle_beta 61.39
_cell_angle_gamma 49.15
_space_group_name_H-M_alt 'P 1'
_space_group_IT_number 1
_space_group_name_Hall 'P 1'
loop_
_atom_site_label
_atom_site_type_symbol
_atom_site_fract_x
_atom_site_fract_y
_atom_site_fract_z
O1 O 0.581 0.184 0.329
O2 O 0.928 0.907 0.629
O3 O 0.184 0.581 0.829
O4 O 0.150 0.464 0.177
O5 O 0.873 0.717 0.448
O6 O 0.072 0.093 0.371
O7 O 0.283 0.127 0.052
O8 O 0.417 0.616 0.103
O9 O 0.816 0.419 0.171
O10 O 0.536 0.850 0.323
O11 O 0.093 0.072 0.871
O12 O 0.127 0.283 0.552
O13 O 0.583 0.384 0.897
O14 O 0.419 0.816 0.671
O15 O 0.616 0.417 0.603
O16 O 0.907 0.928 0.129
O17 O 0.464 0.150 0.677
O18 O 0.384 0.583 0.397
O19 O 0.717 0.873 0.948
O20 O 0.850 0.536 0.823
Lu1 Lu 0.509 0.764 0.161
Lu2 Lu 0.764 0.509 0.661
Lu3 Lu 0.294 0.777 0.532
Lu4 Lu 0.223 0.706 0.968
Lu5 Lu 0.236 0.491 0.339
Lu6 Lu 0.706 0.223 0.468
Lu7 Lu 0.491 0.236 0.839
Lu8 Lu 0.777 0.294 0.032
Ge1 Ge 0.090 0.283 0.191
Ge2 Ge 0.910 0.717 0.809
Ge3 Ge 0.283 0.090 0.691
Ge4 Ge 0.717 0.910 0.309

Entry 2:
# r²SCAN Lu4Ge6Rh7, relaxed
# **E_form**: -1.0395 eV/atom
data_Lu4Ge6Rh7
_chemical_formula_sum 'Lu4 Ge6 Rh7'
_cell_length_a 7.142
_cell_length_b 7.142
_cell_length_c 7.142
_cell_angle_alpha 109.47
_cell_angle_beta 109.47
_cell_angle_gamma 109.47
_space_group_name_H-M_alt 'P 1'
_space_group_IT_number 1
_space_group_name_Hall 'P 1'
loop_
_atom_site_label
_atom_site_type_symbol
_atom_site_fract_x
_atom_site_fract_y
_atom_site_fract_z
Lu1 Lu 0.500 0.000 0.000
Lu2 Lu 0.500 0.500 0.500
Lu3 Lu 0.000 0.000 0.500
Lu4 Lu 0.000 0.500 0.000
Rh1 Rh 0.500 0.750 0.250
Rh2 Rh 0.750 0.250 0.500
Rh3 Rh 0.250 0.750 0.500
Rh4 Rh 0.000 0.000 0.000
Rh5 Rh 0.750 0.500 0.250
Rh6 Rh 0.500 0.250 0.750
Rh7 Rh 0.250 0.500 0.750
Ge1 Ge 0.000 0.319 0.319
Ge2 Ge 0.000 0.681 0.681
Ge3 Ge 0.319 0.319 0.000
Ge4 Ge 0.681 0.681 0.000
Ge5 Ge 0.319 0.000 0.319
Ge6 Ge 0.681 0.000 0.681

Entry 3:
# r²SCAN LuGeRh, relaxed
# **E_form**: -1.0793 eV/atom
data_LuGeRh
_chemical_formula_sum 'Lu4 Ge4 Rh4'
_cell_length_a 4.224
_cell_length_b 6.743
_cell_length_c 7.480
_cell_angle_alpha 90.00
_cell_angle_beta 90.00
_cell_angle_gamma 90.00
_space_group_name_H-M_alt 'P 1'
_space_group_IT_number 1
_space_group_name_Hall 'P 1'
loop_
_atom_site_label
_atom_site_type_symbol
_atom_site_fract_x
_atom_site_fract_y
_atom_site_fract_z
Ge1 Ge 0.750 0.715 0.109
Ge2 Ge 0.250 0.285 0.891
Ge3 Ge 0.750 0.215 0.391
Ge4 Ge 0.250 0.785 0.609
Lu1 Lu 0.250 0.506 0.304
Lu2 Lu 0.750 0.994 0.804
Lu3 Lu 0.250 0.006 0.196
Lu4 Lu 0.750 0.494 0.696
Rh1 Rh 0.250 0.156 0.564
Rh2 Rh 0.750 0.344 0.064
Rh3 Rh 0.250 0.656 0.936
Rh4 Rh 0.750 0.844 0.436

Entry 4:
# r²SCAN LuGeRu, relaxed
# **E_form**: -0.8004 eV/atom
data_LuGeRu
_chemical_formula_sum 'Lu4 Ge4 Ru4'
_cell_length_a 4.328
_cell_length_b 6.886
_cell_length_c 7.158
_cell_angle_alpha 90.00
_cell_angle_beta 90.00
_cell_angle_gamma 90.00
_space_group_name_H-M_alt 'P 1'
_space_group_IT_number 1
_space_group_name_Hall 'P 1'
loop_
_atom_site_label
_atom_site_type_symbol
_atom_site_fract_x
_atom_site_fract_y
_atom_site_fract_z
Lu1 Lu 0.750 0.011 0.807
Lu2 Lu 0.250 0.489 0.307
Lu3 Lu 0.250 0.989 0.193
Lu4 Lu 0.750 0.511 0.693
Ru1 Ru 0.750 0.344 0.061
Ru2 Ru 0.750 0.844 0.439
Ru3 Ru 0.250 0.156 0.561
Ru4 Ru 0.250 0.656 0.939
Ge1 Ge 0.250 0.794 0.608
Ge2 Ge 0.250 0.294 0.892
Ge3 Ge 0.750 0.706 0.108
Ge4 Ge 0.750 0.206 0.392

Entry 5:
# r²SCAN Lu4Ge6Ru7, relaxed
# **E_form**: -0.6925 eV/atom
data_Lu4Ge6Ru7
_chemical_formula_sum 'Lu4 Ge6 Ru7'
_cell_length_a 7.127
_cell_length_b 7.127
_cell_length_c 7.127
_cell_angle_alpha 109.47
_cell_angle_beta 109.47
_cell_angle_gamma 109.47
_space_group_name_H-M_alt 'P 1'
_space_group_IT_number 1
_space_group_name_Hall 'P 1'
loop_
_atom_site_label
_atom_site_type_symbol
_atom_site_fract_x
_atom_site_fract_y
_atom_site_fract_z
Ru1 Ru 0.250 0.500 0.750
Ru2 Ru 0.000 0.000 0.000
Ru3 Ru 0.750 0.250 0.500
Ru4 Ru 0.750 0.500 0.250
Ru5 Ru 0.250 0.750 0.500
Ru6 Ru 0.500 0.250 0.750
Ru7 Ru 0.500 0.750 0.250
Lu1 Lu 0.000 0.000 0.500
Lu2 Lu 0.500 0.500 0.500
Lu3 Lu 0.500 0.000 0.000
Lu4 Lu 0.000 0.500 0.000
Ge1 Ge 0.000 0.686 0.686
Ge2 Ge 0.000 0.314 0.314
Ge3 Ge 0.686 0.000 0.686
Ge4 Ge 0.314 0.000 0.314
Ge5 Ge 0.314 0.314 0.000
Ge6 Ge 0.686 0.686 0.000

Entry 6:
# r²SCAN MgMnGe, relaxed
# **E_form**: -0.2968 eV/atom
data_MgMnGe
_chemical_formula_sum 'Mg2 Mn2 Ge2'
_cell_length_a 4.012
_cell_length_b 4.012
_cell_length_c 6.535
_cell_angle_alpha 90.00
_cell_angle_beta 90.00
_cell_angle_gamma 90.00
_space_group_name_H-M_alt 'P 1'
_space_group_IT_number 1
_space_group_name_Hall 'P 1'
loop_
_atom_site_label
_atom_site_type_symbol
_atom_site_fract_x
_atom_site_fract_y
_atom_site_fract_z
Mn1 Mn 0.500 0.500 0.500
Mn2 Mn 0.000 0.000 0.500
Mg1 Mg 0.000 0.500 0.164
Mg2 Mg 0.500 0.000 0.836
Ge1 Ge 0.500 0.000 0.254
Ge2 Ge 0.000 0.500 0.746

Entry 7:
# r²SCAN MgMn6Ge6, relaxed
# **E_form**: -0.1937 eV/atom
data_MgMn6Ge6
_chemical_formula_sum 'Mg1 Mn6 Ge6'
_cell_length_a 5.148
_cell_length_b 5.148
_cell_length_c 8.104
_cell_angle_alpha 90.00
_cell_angle_beta 90.00
_cell_angle_gamma 120.00
_space_group_name_H-M_alt 'P 1'
_space_group_IT_number 1
_space_group_name_Hall 'P 1'
loop_
_atom_site_label
_atom_site_type_symbol
_atom_site_fract_x
_atom_site_fract_y
_atom_site_fract_z
Mn1 Mn 0.000 0.500 0.750
Mn2 Mn 0.500 0.500 0.750
Mn3 Mn 0.500 0.000 0.750
Mn4 Mn 0.500 0.500 0.250
Mn5 Mn 0.000 0.500 0.250
Mn6 Mn 0.500 0.000 0.250
Ge1 Ge 0.000 0.000 0.664
Ge2 Ge 0.000 0.000 0.336
Ge3 Ge 0.667 0.333 0.000
Ge4 Ge 0.333 0.667 0.500
Ge5 Ge 0.667 0.333 0.500
Ge6 Ge 0.333 0.667 0.000
Mg1 Mg 0.000 0.000 0.000

Entry 8:
# r²SCAN Nd4Mg7Ge6, relaxed
# **E_form**: -0.6371 eV/atom
data_Nd4Mg7Ge6
_chemical_formula_sum 'Nd4 Mg7 Ge6'
_cell_length_a 8.623
_cell_length_b 8.623
_cell_length_c 12.517
_cell_angle_alpha 58.82
_cell_angle_beta 58.82
_cell_angle_gamma 29.64
_space_group_name_H-M_alt 'P 1'
_space_group_IT_number 1
_space_group_name_Hall 'P 1'
loop_
_atom_site_label
_atom_site_type_symbol
_atom_site_fract_x
_atom_site_fract_y
_atom_site_fract_z
Nd1 Nd 0.267 0.267 0.613
Nd2 Nd 0.733 0.733 0.387
Nd3 Nd 0.370 0.370 0.841
Nd4 Nd 0.630 0.630 0.159
Mg1 Mg 0.960 0.960 0.139
Mg2 Mg 0.500 0.500 0.500
Mg3 Mg 0.310 0.310 0.155
Mg4 Mg 0.938 0.938 0.396
Mg5 Mg 0.690 0.690 0.845
Mg6 Mg 0.040 0.040 0.861
Mg7 Mg 0.062 0.062 0.604
Ge1 Ge 0.608 0.608 0.688
Ge2 Ge 0.851 0.851 0.025
Ge3 Ge 0.392 0.392 0.312
Ge4 Ge 0.120 0.120 0.348
Ge5 Ge 0.880 0.880 0.652
Ge6 Ge 0.149 0.149 0.975

Entry 9:
# r²SCAN MgGeO3, relaxed
# **E_form**: -2.2348 eV/atom
data_MgGeO3
_chemical_formula_sum 'Mg2 Ge2 O6'
_cell_length_a 4.881
_cell_length_b 4.881
_cell_length_c 6.934
_cell_angle_alpha 90.00
_cell_angle_beta 90.00
_cell_angle_gamma 146.49
_space_group_name_H-M_alt 'P 1'
_space_group_IT_number 1
_space_group_name_Hall 'P 1'
loop_
_atom_site_label
_atom_site_type_symbol
_atom_site_fract_x
_atom_site_fract_y
_atom_site_fract_z
O1 O 0.631 0.369 0.060
O2 O 0.631 0.369 0.440
O3 O 0.369 0.631 0.940
O4 O 0.369 0.631 0.560
O5 O 0.917 0.083 0.250
O6 O 0.083 0.917 0.750
Mg1 Mg 0.260 0.740 0.250
Mg2 Mg 0.740 0.260 0.750
Ge1 Ge 0.000 0.000 0.500
Ge2 Ge 0.000 0.000 0.000

Entry 10:
# r²SCAN Mg14Ge5O24, relaxed
# **E_form**: -2.6601 eV/atom
data_Mg14Ge5O24
_chemical_formula_sum 'Mg28 Ge10 O48'
_cell_length_a 5.937
_cell_length_b 10.218
_cell_length_c 14.512
_cell_angle_alpha 90.00
_cell_angle_beta 90.00
_cell_angle_gamma 90.00
_space_group_name_H-M_alt 'P 1'
_space_group_IT_number 1
_space_group_name_Hall 'P 1'
loop_
_atom_site_label
_atom_site_type_symbol
_atom_site_fract_x
_atom_site_fract_y
_atom_site_fract_z
Mg1 Mg 0.243 0.249 0.496
Mg2 Mg 0.754 0.081 0.832
Mg3 Mg 0.500 0.000 0.500
Mg4 Mg 0.757 0.251 0.996
Mg5 Mg 0.000 0.178 0.175
Mg6 Mg 0.243 0.251 0.996
Mg7 Mg 0.500 0.853 0.674
Mg8 Mg 0.246 0.081 0.832
Mg9 Mg 0.000 0.822 0.825
Mg10 Mg 0.000 0.678 0.325
Mg11 Mg 0.757 0.751 0.504
Mg12 Mg 0.500 0.500 0.500
Mg13 Mg 0.246 0.581 0.668
Mg14 Mg 0.246 0.419 0.332
Mg15 Mg 0.500 0.147 0.326
Mg16 Mg 0.000 0.322 0.675
Mg17 Mg 0.754 0.581 0.668
Mg18 Mg 0.500 0.500 0.000
Mg19 Mg 0.500 0.647 0.174
Mg20 Mg 0.246 0.919 0.168
Mg21 Mg 0.500 0.353 0.826
Mg22 Mg 0.243 0.751 0.504
Mg23 Mg 0.243 0.749 0.004
Mg24 Mg 0.754 0.919 0.168
Mg25 Mg 0.500 0.000 0.000
Mg26 Mg 0.754 0.419 0.332
Mg27 Mg 0.757 0.749 0.004
Mg28 Mg 0.757 0.249 0.496
O1 O 0.775 0.578 0.424
O2 O 0.500 0.832 0.086
O3 O 0.225 0.578 0.424
O4 O 0.775 0.078 0.076
O5 O 0.271 0.751 0.256
O6 O 0.500 0.168 0.914
O7 O 0.729 0.751 0.256
O8 O 0.000 0.163 0.584
O9 O 0.271 0.251 0.244
O10 O 0.000 0.837 0.416
O11 O 0.225 0.422 0.576
O12 O 0.000 0.503 0.248
O13 O 0.500 0.170 0.568
O14 O 0.500 0.330 0.068
O15 O 0.775 0.922 0.924
O16 O 0.249 0.081 0.414
O17 O 0.751 0.419 0.914
O18 O 0.000 0.663 0.916
O19 O 0.500 0.332 0.414
O20 O 0.500 0.022 0.744
O21 O 0.775 0.422 0.576
O22 O 0.225 0.922 0.924
O23 O 0.271 0.249 0.744
O24 O 0.000 0.003 0.252
O25 O 0.000 0.348 0.422
O26 O 0.500 0.978 0.256
O27 O 0.225 0.078 0.076
O28 O 0.500 0.478 0.244
O29 O 0.500 0.670 0.932
O30 O 0.000 0.652 0.578
O31 O 0.729 0.249 0.744
O32 O 0.249 0.419 0.914
O33 O 0.500 0.668 0.586
O34 O 0.271 0.749 0.756
O35 O 0.500 0.830 0.432
O36 O 0.751 0.081 0.414
O37 O 0.000 0.848 0.078
O38 O 0.000 0.997 0.748
O39 O 0.000 0.497 0.752
O40 O 0.000 0.337 0.084
O41 O 0.500 0.522 0.756
O42 O 0.729 0.749 0.756
O43 O 0.249 0.581 0.086
O44 O 0.249 0.919 0.586
O45 O 0.751 0.581 0.086
O46 O 0.000 0.152 0.922
O47 O 0.751 0.919 0.586
O48 O 0.729 0.251 0.244
Ge1 Ge 0.500 0.325 0.186
Ge2 Ge 0.000 0.499 0.874
Ge3 Ge 0.000 0.000 0.000
Ge4 Ge 0.000 0.500 0.500
Ge5 Ge 0.500 0.175 0.686
Ge6 Ge 0.500 0.825 0.314
Ge7 Ge 0.000 0.001 0.374
Ge8 Ge 0.000 0.501 0.126
Ge9 Ge 0.500 0.675 0.814
Ge10 Ge 0.000 0.999 0.626

Entry 11:
# r²SCAN MgGeO3, relaxed
# **E_form**: -2.3645 eV/atom
data_MgGeO3
_chemical_formula_sum 'Mg4 Ge4 O12'
_cell_length_a 6.554
_cell_length_b 6.554
_cell_length_c 5.169
_cell_angle_alpha 82.13
_cell_angle_beta 82.13
_cell_angle_gamma 85.83
_space_group_name_H-M_alt 'P 1'
_space_group_IT_number 1
_space_group_name_Hall 'P 1'
loop_
_atom_site_label
_atom_site_type_symbol
_atom_site_fract_x
_atom_site_fract_y
_atom_site_fract_z
O1 O 0.291 0.432 0.598
O2 O 0.568 0.709 0.902
O3 O 0.373 0.861 0.382
O4 O 0.139 0.627 0.118
O5 O 0.026 0.206 0.370
O6 O 0.794 0.974 0.130
O7 O 0.432 0.291 0.098
O8 O 0.206 0.026 0.870
O9 O 0.709 0.568 0.402
O10 O 0.627 0.139 0.618
O11 O 0.974 0.794 0.630
O12 O 0.861 0.373 0.882
Ge1 Ge 0.794 0.604 0.710
Ge2 Ge 0.396 0.206 0.790
Ge3 Ge 0.206 0.396 0.290
Ge4 Ge 0.604 0.794 0.210
Mg1 Mg 0.908 0.092 0.750
Mg2 Mg 0.732 0.268 0.250
Mg3 Mg 0.268 0.732 0.750
Mg4 Mg 0.092 0.908 0.250

Entry 12:
# r²SCAN Mg3Sc2Ge3O12, relaxed
# **E_form**: -2.6507 eV/atom
data_Mg3Sc2Ge3O12
_chemical_formula_sum 'Mg12 Sc8 Ge12 O48'
_cell_length_a 10.513
_cell_length_b 10.513
_cell_length_c 10.513
_cell_angle_alpha 109.47
_cell_angle_beta 109.47
_cell_angle_gamma 109.47
_space_group_name_H-M_alt 'P 1'
_space_group_IT_number 1
_space_group_name_Hall 'P 1'
loop_
_atom_site_label
_atom_site_type_symbol
_atom_site_fract_x
_atom_site_fract_y
_atom_site_fract_z
O1 O 0.599 0.188 0.471
O2 O 0.471 0.372 0.283
O3 O 0.088 0.872 0.401
O4 O 0.217 0.128 0.029
O5 O 0.128 0.029 0.217
O6 O 0.088 0.717 0.688
O7 O 0.529 0.401 0.812
O8 O 0.912 0.128 0.599
O9 O 0.872 0.971 0.783
O10 O 0.099 0.971 0.688
O11 O 0.688 0.088 0.717
O12 O 0.872 0.401 0.088
O13 O 0.401 0.812 0.529
O14 O 0.471 0.599 0.188
O15 O 0.599 0.912 0.128
O16 O 0.412 0.812 0.783
O17 O 0.688 0.099 0.971
O18 O 0.128 0.599 0.912
O19 O 0.188 0.217 0.588
O20 O 0.912 0.283 0.312
O21 O 0.372 0.588 0.901
O22 O 0.099 0.628 0.412
O23 O 0.312 0.912 0.283
O24 O 0.717 0.529 0.628
O25 O 0.812 0.783 0.412
O26 O 0.529 0.628 0.717
O27 O 0.717 0.688 0.088
O28 O 0.312 0.901 0.029
O29 O 0.628 0.717 0.529
O30 O 0.188 0.471 0.599
O31 O 0.029 0.312 0.901
O32 O 0.588 0.188 0.217
O33 O 0.401 0.088 0.872
O34 O 0.628 0.412 0.099
O35 O 0.783 0.412 0.812
O36 O 0.783 0.872 0.971
O37 O 0.029 0.217 0.128
O38 O 0.901 0.372 0.588
O39 O 0.283 0.471 0.372
O40 O 0.412 0.099 0.628
O41 O 0.901 0.029 0.312
O42 O 0.588 0.901 0.372
O43 O 0.971 0.688 0.099
O44 O 0.812 0.529 0.401
O45 O 0.283 0.312 0.912
O46 O 0.372 0.283 0.471
O47 O 0.217 0.588 0.188
O48 O 0.971 0.783 0.872
Ge1 Ge 0.125 0.875 0.250
Ge2 Ge 0.250 0.125 0.875
Ge3 Ge 0.625 0.375 0.250
Ge4 Ge 0.125 0.750 0.875
Ge5 Ge 0.375 0.250 0.625
Ge6 Ge 0.875 0.125 0.750
Ge7 Ge 0.750 0.375 0.625
Ge8 Ge 0.375 0.625 0.750
Ge9 Ge 0.625 0.750 0.375
Ge10 Ge 0.750 0.875 0.125
Ge11 Ge 0.250 0.625 0.375
Ge12 Ge 0.875 0.250 0.125
Mg1 Mg 0.375 0.750 0.125
Mg2 Mg 0.250 0.375 0.125
Mg3 Mg 0.750 0.625 0.875
Mg4 Mg 0.125 0.375 0.750
Mg5 Mg 0.375 0.125 0.250
Mg6 Mg 0.875 0.625 0.250
Mg7 Mg 0.750 0.125 0.375
Mg8 Mg 0.625 0.250 0.875
Mg9 Mg 0.125 0.250 0.375
Mg10 Mg 0.250 0.875 0.625
Mg11 Mg 0.875 0.750 0.625
Mg12 Mg 0.625 0.875 0.750
Sc1 Sc 0.500 0.000 0.000
Sc2 Sc 0.000 0.500 0.500
Sc3 Sc 0.000 0.500 0.000
Sc4 Sc 0.000 0.000 0.500
Sc5 Sc 0.000 0.000 0.000
Sc6 Sc 0.500 0.500 0.000
Sc7 Sc 0.500 0.500 0.500
Sc8 Sc 0.500 0.000 0.500

Entry 13:
# r²SCAN MgGeP2, relaxed
# **Excess energy over the best structure of this formula in the dataset**: 0 meV per atom
# **E_form**: -0.3853 eV/atom
data_MgGeP2
_chemical_formula_sum 'Mg2 Ge2 P4'
_cell_length_a 8.145
_cell_length_b 10.543
_cell_length_c 6.694
_cell_angle_alpha 29.54
_cell_angle_beta 52.52
_cell_angle_gamma 39.42
_space_group_name_H-M_alt 'P 1'
_space_group_IT_number 1
_space_group_name_Hall 'P 1'
loop_
_atom_site_label
_atom_site_type_symbol
_atom_site_fract_x
_atom_site_fract_y
_atom_site_fract_z
Ge1 Ge 0.250 0.500 0.000
Ge2 Ge 0.500 0.000 0.000
P1 P 0.375 0.470 0.280
P2 P 0.156 0.969 0.281
P3 P 0.594 0.031 0.219
P4 P 0.875 0.531 0.219
Mg1 Mg 0.751 0.499 0.000
Mg2 Mg 0.000 0.000 0.000